[1]
Below is ZnH20S2N2O14 after structural relaxation, with properties calculated at the GGA-PBE level.

volume = 762 Å³ per cell
energy relative to the lowest polymorph listed for this composition = 73.1 meV per atom
E = -401.84 eV for the cell shown
symmetry = P2_1/c

a b c (Å): 6.2101 13.3409 9.3471
angles (deg): 90.00 100.47 90.00
Positions (direct):
Zn1 0.0000 0.0000 0.0000
Zn2 0.0000 0.5000 0.5000
H1 0.0574 0.1363 0.8529
H2 0.0574 0.3637 0.3529
H3 0.1112 0.1318 0.2740
H4 0.1112 0.3682 0.7740
H5 0.2223 0.1515 0.5937
H6 0.2223 0.3485 0.0937
H7 0.2276 0.5102 0.2287
H8 0.2276 0.9898 0.7287
H9 0.3173 0.0835 0.2299
H10 0.3173 0.4165 0.7299
H11 0.3353 0.2491 0.1870
H12 0.3353 0.2509 0.6870
H13 0.3354 0.6582 0.5343
H14 0.3354 0.8418 0.0343
H15 0.3749 0.1351 0.7620
H16 0.3749 0.3649 0.2620
H17 0.3826 0.5638 0.4443
H18 0.3826 0.9362 0.9443
H19 0.4959 0.1639 0.6191
H20 0.4959 0.3361 0.1191
H21 0.5041 0.6639 0.8809
H22 0.5041 0.8361 0.3809
H23 0.6174 0.0638 0.0557
H24 0.6174 0.4362 0.5557
H25 0.6251 0.6351 0.7380
H26 0.6251 0.8649 0.2380
H27 0.6646 0.1582 0.9657
H28 0.6646 0.3418 0.4657
H29 0.6647 0.7491 0.3130
H30 0.6647 0.7509 0.8130
H31 0.6827 0.5835 0.2701
H32 0.6827 0.9165 0.7701
H33 0.7724 0.0102 0.2713
H34 0.7724 0.4898 0.7713
H35 0.7777 0.6515 0.9063
H36 0.7777 0.8485 0.4063
H37 0.8888 0.6318 0.2260
H38 0.8888 0.8682 0.7260
H39 0.9426 0.6363 0.6471
H40 0.9426 0.8637 0.1471
S1 0.2390 0.6293 0.0623
S2 0.2390 0.8707 0.5623
S3 0.7610 0.1293 0.4377
S4 0.7610 0.3707 0.9377
N1 0.3599 0.1752 0.6660
N2 0.3599 0.3248 0.1660
N3 0.6401 0.6752 0.8340
N4 0.6401 0.8248 0.3340
O1 0.0119 0.6542 0.0734
O2 0.0119 0.8458 0.5734
O3 0.1265 0.0704 0.8581
O4 0.1265 0.4296 0.3581
O5 0.1929 0.1269 0.1922
O6 0.1929 0.3731 0.6922
O7 0.2587 0.5712 0.9332
O8 0.2587 0.9288 0.4332
O9 0.3295 0.5841 0.5322
O10 0.3295 0.9159 0.0322
O11 0.3345 0.5619 0.2043
O12 0.3345 0.9381 0.7043
O13 0.3871 0.7163 0.0825
O14 0.3871 0.7837 0.5825
O15 0.6129 0.2163 0.4175
O16 0.6129 0.2837 0.9175
O17 0.6655 0.0619 0.2957
O18 0.6655 0.4381 0.7957
O19 0.6705 0.0841 0.9678
O20 0.6705 0.4159 0.4678
O21 0.7413 0.0712 0.5668
O22 0.7413 0.4288 0.0668
O23 0.8071 0.6269 0.3078
O24 0.8071 0.8731 0.8078
O25 0.8735 0.5704 0.6419
O26 0.8735 0.9296 0.1419
O27 0.9881 0.1542 0.4266
O28 0.9881 0.3458 0.9266

***

[2]
Below is RuC after structural relaxation, with properties calculated at the GGA-PBE level.

volume = 20 Å³ per cell
energy relative to the lowest polymorph listed for this composition = 543.5 meV per atom
E = -16.68 eV for the cell shown
symmetry = Fm-3m

a b c (Å): 3.0561 3.0561 3.0561
angles (deg): 60.00 60.00 60.00
Positions (direct):
Ru1 0.0000 0.0000 0.0000
C1 0.5000 0.5000 0.5000

***

[3]
Below is K6Ti2O7 after structural relaxation, with properties calculated at the GGA-PBE level.

volume = 597 Å³ per cell
E = -181.12 eV for the cell shown
symmetry = Pc

a b c (Å): 6.6430 9.3897 11.4560
angles (deg): 90.00 123.37 90.00
Positions (direct):
K1 0.0000 0.0426 0.0000
K2 0.0000 0.9574 0.5000
K3 0.1998 0.2790 0.3244
K4 0.1998 0.7210 0.8244
K5 0.3509 0.0913 0.8468
K6 0.3509 0.9087 0.3468
K7 0.4646 0.4054 0.7151
K8 0.4646 0.5946 0.2151
K9 0.6131 0.2252 0.2343
K10 0.6131 0.7748 0.7343
K11 0.8150 0.4543 0.5593
K12 0.8150 0.5457 0.0593
Ti1 0.0999 0.3928 0.9140
Ti2 0.0999 0.6072 0.4140
Ti3 0.7177 0.1055 0.6473
Ti4 0.7177 0.8945 0.1473
O1 0.1713 0.3488 0.0872
O2 0.1713 0.6512 0.5872
O3 0.3726 0.4241 0.9164
O4 0.3726 0.5759 0.4164
O5 0.4454 0.0782 0.6467
O6 0.4454 0.9218 0.1467
O7 0.6453 0.1570 0.4754
O8 0.6453 0.8430 0.9754
O9 0.9029 0.0538 0.2028
O10 0.9030 0.4527 0.3493
O11 0.9030 0.5473 0.8493
O12 0.9029 0.9462 0.7028
O13 0.9175 0.2443 0.7844
O14 0.9175 0.7557 0.2844

***

[4]
Below is LaLuS3 after structural relaxation, with properties calculated at the GGA-PBE level.

volume = 485 Å³ per cell
E = -130.27 eV for the cell shown
symmetry = Pnma

a b c (Å): 7.3357 9.8847 6.6935
angles (deg): 90.00 90.00 90.00
Positions (direct):
La1 0.0944 0.2500 0.0353
La2 0.4056 0.7500 0.5353
La3 0.5944 0.2500 0.4647
La4 0.9056 0.7500 0.9647
Lu1 0.0000 0.0000 0.5000
Lu2 0.0000 0.5000 0.5000
Lu3 0.5000 0.0000 0.0000
Lu4 0.5000 0.5000 0.0000
S1 0.0458 0.7500 0.3649
S2 0.1904 0.5678 0.8227
S3 0.1904 0.9322 0.8227
S4 0.3096 0.0678 0.3227
S5 0.3096 0.4322 0.3227
S6 0.4542 0.2500 0.8649
S7 0.5458 0.7500 0.1351
S8 0.6904 0.5678 0.6773
S9 0.6904 0.9322 0.6773
S10 0.8096 0.0678 0.1773
S11 0.8096 0.4322 0.1773
S12 0.9542 0.2500 0.6351

***

[5]
Below is BaAlF5 after structural relaxation, with properties calculated at the GGA-PBE level.

volume = 802 Å³ per cell
energy relative to the lowest polymorph listed for this composition = 4.9 meV per atom
E = -329.58 eV for the cell shown
symmetry = P2_1/c

a b c (Å): 5.2488 19.8504 9.1262
angles (deg): 90.00 122.47 90.00
Positions (direct):
Ba1 0.0457 0.0406 0.2591
Ba2 0.0457 0.4594 0.7591
Ba3 0.2822 0.2302 0.0213
Ba4 0.2822 0.2698 0.5213
Ba5 0.7178 0.7302 0.4787
Ba6 0.7178 0.7698 0.9787
Ba7 0.9543 0.5406 0.2409
Ba8 0.9543 0.9594 0.7409
Al1 0.2176 0.6313 0.9694
Al2 0.2176 0.8687 0.4694
Al3 0.4183 0.6081 0.6501
Al4 0.4183 0.8919 0.1501
Al5 0.5817 0.1081 0.8499
Al6 0.5817 0.3919 0.3499
Al7 0.7824 0.1313 0.5306
Al8 0.7824 0.3687 0.0306
F1 0.0143 0.6183 0.5152
F2 0.0143 0.8817 0.0152
F3 0.0447 0.6547 0.0851
F4 0.0447 0.8453 0.5851
F5 0.1318 0.7111 0.8565
F6 0.1318 0.7889 0.3565
F7 0.1590 0.0958 0.7144
F8 0.1590 0.4042 0.2144
F9 0.2882 0.5459 0.0551
F10 0.2882 0.9541 0.5551
F11 0.3668 0.5185 0.6182
F12 0.3668 0.9815 0.1182
F13 0.3964 0.6001 0.8476
F14 0.3964 0.8999 0.3476
F15 0.4151 0.1595 0.3574
F16 0.4151 0.3405 0.8574
F17 0.4324 0.6165 0.4573
F18 0.4324 0.8835 0.9573
F19 0.4756 0.6979 0.6857
F20 0.4756 0.8021 0.1857
F21 0.5244 0.1979 0.8143
F22 0.5244 0.3021 0.3143
F23 0.5676 0.1165 0.0427
F24 0.5676 0.3835 0.5427
F25 0.5849 0.6595 0.1426
F26 0.5849 0.8405 0.6426
F27 0.6036 0.1001 0.6524
F28 0.6036 0.3999 0.1524
F29 0.6332 0.0185 0.8818
F30 0.6332 0.4815 0.3818
F31 0.7118 0.0459 0.4449
F32 0.7118 0.4541 0.9449
F33 0.8410 0.5958 0.7856
F34 0.8410 0.9042 0.2856
F35 0.8682 0.2111 0.6435
F36 0.8682 0.2889 0.1435
F37 0.9553 0.1547 0.4149
F38 0.9553 0.3453 0.9149
F39 0.9857 0.1183 0.9848
F40 0.9857 0.3817 0.4848

***

[6]
Below is Na2La4Sc4SiS11O48 after structural relaxation, with properties calculated at the GGA-PBE level.

volume = 3513 Å³ per cell
E = -1462.88 eV for the cell shown
symmetry = P1

a b c (Å): 9.1806 15.8082 24.2088
angles (deg): 90.10 90.08 90.10
Positions (direct):
Na1 0.0000 0.0000 0.0000
Na2 0.0039 0.3422 0.3407
Na3 0.4689 0.8427 0.8402
Na4 0.4798 0.5026 0.0085
Na5 0.4840 0.5005 0.5059
Na6 0.9929 0.0124 0.5025
La1 0.0049 0.3438 0.1868
La2 0.4786 0.5050 0.1547
La3 0.4826 0.1839 0.3268
La4 0.4837 0.8453 0.9794
La5 0.4871 0.5050 0.3638
La6 0.4882 0.1880 0.0257
La7 0.4902 0.8448 0.1972
La8 0.9935 0.0062 0.1547
La9 0.9956 0.6793 0.0184
La10 0.9969 0.0022 0.8513
La11 0.9990 0.3439 0.9798
La12 0.9994 0.6832 0.8108
Sc1 0.4862 0.1821 0.5246
Sc2 0.4903 0.8436 0.6817
Sc3 0.4911 0.5041 0.6524
Sc4 0.4913 0.5089 0.8488
Sc5 0.4915 0.1798 0.8143
Sc6 0.4925 0.8437 0.4859
Sc7 0.9878 0.6792 0.3249
Sc8 0.9890 0.0175 0.6539
Sc9 0.9890 0.3458 0.6883
Sc10 0.9908 0.0093 0.3590
Sc11 0.9924 0.6804 0.5264
Sc12 0.9986 0.3435 0.4881
Si1 0.1409 0.8320 0.9185
Si2 0.2942 0.3512 0.0856
Si3 0.3357 0.3253 0.4301
S1 0.1266 0.8601 0.2641
S2 0.1297 0.1556 0.2621
S3 0.1321 0.1995 0.5887
S4 0.1368 0.4886 0.5877
S5 0.1627 0.5292 0.9146
S6 0.1778 0.5195 0.2612
S7 0.2037 0.8461 0.5861
S8 0.2073 0.1768 0.9128
S9 0.2713 0.6857 0.4273
S10 0.2956 0.0090 0.7477
S11 0.3393 0.0250 0.4273
S12 0.3391 0.9937 0.0876
S13 0.3427 0.3673 0.7520
S14 0.3445 0.6949 0.0876
S15 0.3694 0.6550 0.7484
S16 0.6275 0.3292 0.9102
S17 0.6333 0.6990 0.5844
S18 0.6345 0.0362 0.9133
S19 0.6399 0.9862 0.5854
S20 0.6509 0.3585 0.2571
S21 0.6584 0.6572 0.2590
S22 0.6839 0.6668 0.9141
S23 0.7044 0.3462 0.5870
S24 0.7059 0.0118 0.2614
S25 0.7714 0.5016 0.7489
S26 0.7886 0.8450 0.0862
S27 0.7955 0.1763 0.4262
S28 0.8276 0.8686 0.7436
S29 0.8350 0.4949 0.0858
S30 0.8437 0.1624 0.7493
S31 0.8456 0.8216 0.4242
S32 0.8481 0.1878 0.0859
S33 0.8619 0.5357 0.4261
O1 0.0593 0.2364 0.5395
O2 0.0608 0.2397 0.2663
O3 0.0627 0.7767 0.2760
O4 0.0637 0.1129 0.5977
O5 0.0652 0.8901 0.2111
O6 0.0659 0.9261 0.9216
O7 0.0683 0.4499 0.6374
O8 0.0723 0.5734 0.5774
O9 0.0756 0.1031 0.3096
O10 0.0808 0.4444 0.2599
O11 0.0876 0.7825 0.8623
O12 0.0903 0.9205 0.3096
O13 0.0920 0.1153 0.2089
O14 0.0917 0.5968 0.2724
O15 0.0925 0.7844 0.9750
O16 0.0958 0.4449 0.9170
O17 0.0975 0.5753 0.8676
O18 0.1057 0.2540 0.6378
O19 0.1083 0.1030 0.9092
O20 0.1102 0.7704 0.5763
O21 0.1101 0.9223 0.5948
O22 0.1155 0.4327 0.5391
O23 0.1229 0.2555 0.9115
O24 0.1434 0.5758 0.9671
O25 0.1589 0.3347 0.4394
O26 0.1724 0.6744 0.4757
O27 0.1766 0.0158 0.4200
O28 0.1778 0.0038 0.0866
O29 0.1845 0.3584 0.7402
O30 0.1853 0.6856 0.0867
O31 0.1847 0.6959 0.3761
O32 0.1863 0.3538 0.0321
O33 0.1878 0.0239 0.7020
O34 0.2065 0.3515 0.1444
O35 0.2102 0.6619 0.7518
O36 0.2180 0.9851 0.7989
O37 0.2558 0.5312 0.2086
O38 0.2826 0.5058 0.3071
O39 0.2863 0.8546 0.2601
O40 0.2871 0.1673 0.9652
O41 0.2892 0.1613 0.2642
O42 0.2901 0.1885 0.5801
O43 0.2953 0.8297 0.6360
O44 0.2988 0.4978 0.5967
O45 0.3003 0.8615 0.5379
O46 0.3093 0.1767 0.8644
O47 0.3179 0.8410 0.9138
O48 0.3235 0.5204 0.9060
O49 0.3566 0.2814 0.3699
O50 0.3630 0.4245 0.8003
O51 0.3634 0.7623 0.4358
O52 0.3656 0.6101 0.4245
O53 0.3667 0.0841 0.4737
O54 0.3750 0.9438 0.0378
O55 0.3825 0.9480 0.1387
O56 0.3850 0.0855 0.7568
O57 0.3847 0.7432 0.1383
O58 0.3907 0.9349 0.7336
O59 0.3940 0.2673 0.0853
O60 0.3980 0.7389 0.0377
O61 0.3985 0.4350 0.0831
O62 0.4027 0.9403 0.4402
O63 0.4045 0.6006 0.6999
O64 0.4061 0.0544 0.3755
O65 0.4090 0.2837 0.7631
O66 0.4111 0.0759 0.0873
O67 0.4117 0.2664 0.4788
O68 0.4143 0.4184 0.4322
O69 0.4160 0.6113 0.0880
O70 0.4170 0.4060 0.7027
O71 0.4302 0.6171 0.7998
O72 0.4357 0.7410 0.7416
O73 0.5612 0.7392 0.5357
O74 0.5622 0.4143 0.8999
O75 0.5663 0.3003 0.9632
O76 0.5689 0.6133 0.5926
O77 0.5689 0.9506 0.9085
O78 0.5719 0.9449 0.6345
O79 0.5728 0.0693 0.5765
O80 0.5812 0.0869 0.8652
O81 0.5814 0.2745 0.2592
O82 0.5854 0.2707 0.8642
O83 0.5850 0.6153 0.3061
O84 0.5897 0.5906 0.9062
O85 0.5907 0.7433 0.9158
O86 0.5948 0.7430 0.2533
O87 0.5967 0.0754 0.9664
O88 0.6024 0.4000 0.2057
O89 0.6054 0.4217 0.5960
O90 0.6072 0.4100 0.3060
O91 0.6092 0.7532 0.6340
O92 0.6127 0.0858 0.2678
O93 0.6138 0.2696 0.5785
O94 0.6179 0.9296 0.5362
O95 0.6201 0.9330 0.2607
O96 0.6396 0.6087 0.2075
O97 0.6692 0.8586 0.7320
O98 0.6739 0.5134 0.6998
O99 0.6752 0.5076 0.0868
O100 0.6810 0.4876 0.7989
O101 0.6847 0.1688 0.7581
O102 0.6864 0.8304 0.4341
O103 0.6900 0.1754 0.0854
O104 0.6945 0.1610 0.4728
O105 0.6961 0.8473 0.1364
O106 0.6994 0.8508 0.0354
O107 0.7009 0.5296 0.4242
O108 0.7179 0.1920 0.3738
O109 0.7627 0.6552 0.9668
O110 0.7841 0.6763 0.8669
O111 0.7862 0.0205 0.2087
O112 0.7865 0.3355 0.9125
O113 0.7931 0.6923 0.5743
O114 0.7951 0.3647 0.5378
O115 0.7956 0.0299 0.9113
O116 0.7990 0.3342 0.6363
O117 0.8020 0.9955 0.5941
O118 0.8115 0.0056 0.3089
O119 0.8109 0.3508 0.2592
O120 0.8166 0.6667 0.2712
O121 0.8374 0.9124 0.7972
O122 0.8620 0.5775 0.7546
O123 0.8644 0.4258 0.7396
O124 0.8681 0.4437 0.0357
O125 0.8687 0.7687 0.3745
O126 0.8721 0.1016 0.7019
O127 0.8753 0.7672 0.0869
O128 0.8833 0.4505 0.1365
O129 0.8859 0.2345 0.1369
O130 0.8864 0.9207 0.0855
O131 0.8896 0.2517 0.4364
O132 0.8910 0.0987 0.4198
O133 0.8978 0.2333 0.0359
O134 0.8978 0.7852 0.7447
O135 0.8999 0.5894 0.4748
O136 0.8996 0.9200 0.6995
O137 0.9054 0.2463 0.7338
O138 0.9100 0.5771 0.0836
O139 0.9122 0.9077 0.4159
O140 0.9178 0.7823 0.4731
O141 0.9188 0.1318 0.7990
O142 0.9187 0.5753 0.3748
O143 0.9211 0.1037 0.0853
O144 0.9267 0.4501 0.4310